# 1
Entry from Materials Project: a relaxed structure of Tb4Se3N2 (r²SCAN).

a = 6.952 Å, b = 6.952 Å, c = 10.309 Å
α = 127.82°, β = 127.82°, γ = 32.90°
Sites, in units of the cell vectors:
Tb 0.058 0.058 0.349
Tb 0.256 0.256 0.139
Tb 0.744 0.744 0.861
Tb 0.942 0.942 0.651
Se 0.335 0.335 0.729
Se 0.500 0.500 0.500
Se 0.665 0.665 0.271
N 0.148 0.148 0.862
N 0.852 0.852 0.138

Summary:
- calculated formation energy (eV per formula unit) = -19.28
- calculated volume (Å³/cell) = 208

# 2
Entry from Materials Project: a relaxed structure of Th2SeN2 (r²SCAN).

a = 4.040 Å, b = 4.040 Å, c = 7.190 Å
α = 90.00°, β = 90.00°, γ = 120.00°
Sites, in units of the cell vectors:
Th 0.333 0.667 0.296
Th 0.667 0.333 0.704
Se 0.000 0.000 0.000
N 0.333 0.667 0.626
N 0.667 0.333 0.374

Summary:
- calculated formation energy (eV per formula unit) = -11.17
- calculated volume (Å³/cell) = 102

# 3
Entry from Materials Project: a relaxed structure of Si3N4 (r²SCAN).

a = 7.752 Å, b = 7.752 Å, c = 5.619 Å
α = 90.00°, β = 90.00°, γ = 120.00°
Sites, in units of the cell vectors:
Si 0.082 0.570 0.000
Si 0.086 0.253 0.292
Si 0.167 0.914 0.292
Si 0.253 0.086 0.792
Si 0.430 0.512 0.000
Si 0.488 0.918 0.000
Si 0.512 0.430 0.500
Si 0.570 0.082 0.500
Si 0.747 0.833 0.292
Si 0.833 0.747 0.792
Si 0.914 0.167 0.792
Si 0.918 0.488 0.500
N 0.000 0.000 0.293
N 0.000 0.000 0.793
N 0.004 0.318 0.038
N 0.046 0.656 0.273
N 0.315 0.996 0.038
N 0.318 0.004 0.538
N 0.333 0.667 0.944
N 0.344 0.390 0.273
N 0.390 0.344 0.773
N 0.610 0.954 0.273
N 0.656 0.046 0.773
N 0.667 0.333 0.444
N 0.682 0.685 0.038
N 0.685 0.682 0.538
N 0.954 0.610 0.773
N 0.996 0.315 0.538

Summary:
- calculated formation energy (eV per formula unit) = -9.22
- calculated volume (Å³/cell) = 292

# 4
Entry from Materials Project: a relaxed structure of Si3N4 (r²SCAN).

a = 7.605 Å, b = 7.605 Å, c = 2.905 Å
α = 90.00°, β = 90.00°, γ = 120.00°
Sites, in units of the cell vectors:
Si 0.175 0.406 0.250
Si 0.231 0.825 0.250
Si 0.406 0.231 0.750
Si 0.594 0.769 0.250
Si 0.769 0.175 0.750
Si 0.825 0.594 0.750
N 0.031 0.330 0.750
N 0.299 0.969 0.750
N 0.330 0.299 0.250
N 0.333 0.667 0.250
N 0.667 0.333 0.750
N 0.670 0.701 0.750
N 0.701 0.031 0.250
N 0.969 0.670 0.250

Summary:
- calculated formation energy (eV per formula unit) = -9.25
- calculated volume (Å³/cell) = 145

# 5
Entry from Materials Project: a relaxed structure of Sm3Si6N11 (r²SCAN).

a = 10.010 Å, b = 10.010 Å, c = 4.855 Å
α = 90.00°, β = 90.00°, γ = 90.00°
Sites, in units of the cell vectors:
Sm 0.000 0.000 0.000
Sm 0.182 0.318 0.015
Sm 0.318 0.818 0.015
Sm 0.500 0.500 0.000
Sm 0.682 0.182 0.015
Sm 0.818 0.682 0.015
Si 0.079 0.791 0.549
Si 0.118 0.618 0.060
Si 0.209 0.079 0.549
Si 0.291 0.579 0.549
Si 0.382 0.118 0.060
Si 0.421 0.291 0.549
Si 0.579 0.709 0.549
Si 0.618 0.882 0.060
Si 0.709 0.421 0.549
Si 0.791 0.921 0.549
Si 0.882 0.382 0.060
Si 0.921 0.209 0.549
N 0.000 0.500 0.090
N 0.077 0.773 0.196
N 0.080 0.180 0.665
N 0.153 0.653 0.713
N 0.180 0.920 0.665
N 0.227 0.077 0.196
N 0.273 0.577 0.196
N 0.320 0.420 0.665
N 0.347 0.153 0.713
N 0.420 0.680 0.665
N 0.423 0.273 0.196
N 0.500 0.000 0.090
N 0.577 0.727 0.196
N 0.580 0.320 0.665
N 0.653 0.847 0.713
N 0.680 0.580 0.665
N 0.727 0.423 0.196
N 0.773 0.923 0.196
N 0.820 0.080 0.665
N 0.847 0.347 0.713
N 0.920 0.820 0.665
N 0.923 0.227 0.196

Summary:
- calculated formation energy (eV per formula unit) = -31.23
- calculated volume (Å³/cell) = 486

# 6
Entry from Materials Project: a relaxed structure of SmThN2 (r²SCAN).

a = 6.244 Å, b = 6.244 Å, c = 6.244 Å
α = 33.80°, β = 33.80°, γ = 33.80°
Sites, in units of the cell vectors:
Sm 0.000 0.000 0.000
Th 0.500 0.500 0.500
N 0.247 0.247 0.247
N 0.753 0.753 0.753

Summary:
- calculated formation energy (eV per formula unit) = -7.20
- calculated volume (Å³/cell) = 67

# 7
Entry from Materials Project: a relaxed structure of Sn3N4 (r²SCAN).

a = 6.398 Å, b = 6.398 Å, c = 6.398 Å
α = 60.00°, β = 60.00°, γ = 60.00°
Sites, in units of the cell vectors:
Sn 0.000 0.000 0.000
Sn 0.000 0.000 0.500
Sn 0.000 0.500 0.000
Sn 0.375 0.375 0.375
Sn 0.500 0.000 0.000
Sn 0.625 0.625 0.625
N 0.223 0.759 0.759
N 0.241 0.241 0.241
N 0.241 0.241 0.777
N 0.241 0.777 0.241
N 0.759 0.223 0.759
N 0.759 0.759 0.223
N 0.759 0.759 0.759
N 0.777 0.241 0.241

Summary:
- calculated formation energy (eV per formula unit) = 0.37
- calculated volume (Å³/cell) = 185

# 8
Entry from Materials Project: a relaxed structure of Sr12Sn4N3 (r²SCAN).

a = 5.251 Å, b = 5.251 Å, c = 21.191 Å
α = 90.00°, β = 90.00°, γ = 90.00°
Sites, in units of the cell vectors:
Sr 0.000 0.000 0.122
Sr 0.000 0.000 0.363
Sr 0.000 0.000 0.637
Sr 0.000 0.000 0.878
Sr 0.000 0.500 0.000
Sr 0.000 0.500 0.245
Sr 0.000 0.500 0.500
Sr 0.000 0.500 0.755
Sr 0.500 0.000 0.000
Sr 0.500 0.000 0.245
Sr 0.500 0.000 0.500
Sr 0.500 0.000 0.755
Sn 0.500 0.500 0.125
Sn 0.500 0.500 0.383
Sn 0.500 0.500 0.617
Sn 0.500 0.500 0.875
N 0.000 0.000 0.000
N 0.000 0.000 0.250
N 0.000 0.000 0.750

Summary:
- calculated formation energy (eV per formula unit) = -13.97
- calculated volume (Å³/cell) = 584

# 9
Entry from Materials Project: a relaxed structure of Sr2TaN3 (r²SCAN).

a = 6.398 Å, b = 6.398 Å, c = 12.619 Å
α = 91.07°, β = 91.07°, γ = 123.85°
Sites, in units of the cell vectors:
Sr 0.042 0.445 0.859
Sr 0.115 0.346 0.423
Sr 0.346 0.115 0.923
Sr 0.445 0.042 0.359
Sr 0.555 0.958 0.641
Sr 0.654 0.885 0.077
Sr 0.885 0.654 0.577
Sr 0.958 0.555 0.141
Ta 0.264 0.268 0.664
Ta 0.268 0.264 0.164
Ta 0.732 0.736 0.836
Ta 0.736 0.732 0.336
N 0.002 0.998 0.250
N 0.117 0.304 0.041
N 0.167 0.493 0.625
N 0.304 0.117 0.541
N 0.417 0.583 0.250
N 0.493 0.167 0.125
N 0.507 0.833 0.875
N 0.583 0.417 0.750
N 0.696 0.883 0.459
N 0.833 0.507 0.375
N 0.883 0.696 0.959
N 0.998 0.002 0.750

Summary:
- calculated formation energy (eV per formula unit) = -8.18
- calculated volume (Å³/cell) = 429

# 10
Entry from Materials Project: a relaxed structure of Sr2VN3 (r²SCAN).

a = 6.203 Å, b = 6.203 Å, c = 12.315 Å
α = 90.40°, β = 90.40°, γ = 125.12°
Sites, in units of the cell vectors:
Sr 0.048 0.444 0.854
Sr 0.134 0.355 0.423
Sr 0.355 0.134 0.923
Sr 0.444 0.048 0.354
Sr 0.556 0.952 0.646
Sr 0.645 0.866 0.077
Sr 0.866 0.645 0.577
Sr 0.952 0.556 0.146
V 0.254 0.259 0.664
V 0.259 0.254 0.164
V 0.741 0.746 0.836
V 0.746 0.741 0.336
N 0.021 0.979 0.750
N 0.120 0.442 0.633
N 0.148 0.327 0.046
N 0.327 0.148 0.546
N 0.442 0.120 0.133
N 0.446 0.554 0.250
N 0.554 0.446 0.750
N 0.558 0.880 0.867
N 0.673 0.852 0.454
N 0.852 0.673 0.954
N 0.880 0.558 0.367
N 0.979 0.021 0.250

Summary:
- calculated formation energy (eV per formula unit) = -8.09
- calculated volume (Å³/cell) = 388

# 11
Entry from Materials Project: a relaxed structure of Sr3WN3 (r²SCAN).

a = 7.952 Å, b = 7.952 Å, c = 5.345 Å
α = 90.00°, β = 90.00°, γ = 120.00°
Sites, in units of the cell vectors:
Sr 0.096 0.350 0.250
Sr 0.254 0.904 0.250
Sr 0.350 0.254 0.750
Sr 0.650 0.746 0.250
Sr 0.746 0.096 0.750
Sr 0.904 0.650 0.750
W 0.333 0.667 0.750
W 0.667 0.333 0.250
N 0.116 0.419 0.750
N 0.303 0.884 0.750
N 0.419 0.303 0.250
N 0.581 0.697 0.750
N 0.697 0.116 0.250
N 0.884 0.581 0.250

Summary:
- calculated formation energy (eV per formula unit) = -6.79
- calculated volume (Å³/cell) = 293

# 12
Entry from Materials Project: a relaxed structure of ThTaN3 (r²SCAN).

a = 5.749 Å, b = 8.054 Å, c = 5.677 Å
α = 90.00°, β = 90.00°, γ = 90.00°
Sites, in units of the cell vectors:
Th 0.041 0.250 0.005
Th 0.459 0.750 0.505
Th 0.541 0.250 0.495
Th 0.959 0.750 0.995
Ta 0.000 0.000 0.500
Ta 0.000 0.500 0.500
Ta 0.500 0.000 0.000
Ta 0.500 0.500 0.000
N 0.025 0.750 0.410
N 0.201 0.547 0.797
N 0.201 0.953 0.797
N 0.299 0.047 0.297
N 0.299 0.453 0.297
N 0.475 0.250 0.910
N 0.525 0.750 0.090
N 0.701 0.547 0.703
N 0.701 0.953 0.703
N 0.799 0.047 0.203
N 0.799 0.453 0.203
N 0.975 0.250 0.590

Summary:
- calculated formation energy (eV per formula unit) = -8.69
- calculated volume (Å³/cell) = 263

# 13
Entry from Materials Project: a relaxed structure of Tb4Te3N2 (r²SCAN).

a = 7.317 Å, b = 11.672 Å, c = 11.059 Å
α = 90.00°, β = 90.00°, γ = 90.00°
Sites, in units of the cell vectors:
Tb 0.025 0.091 0.177
Tb 0.025 0.409 0.323
Tb 0.164 0.653 0.117
Tb 0.164 0.847 0.383
Tb 0.336 0.153 0.383
Tb 0.336 0.347 0.117
Tb 0.475 0.591 0.323
Tb 0.475 0.909 0.177
Tb 0.525 0.091 0.823
Tb 0.525 0.409 0.677
Tb 0.664 0.653 0.883
Tb 0.664 0.847 0.617
Tb 0.836 0.153 0.617
Tb 0.836 0.347 0.883
Tb 0.975 0.591 0.677
Tb 0.975 0.909 0.823
Te 0.131 0.162 0.919
Te 0.131 0.338 0.581
Te 0.250 0.000 0.609
Te 0.250 0.500 0.891
Te 0.369 0.662 0.581
Te 0.369 0.838 0.919
Te 0.631 0.162 0.081
Te 0.631 0.338 0.419
Te 0.750 0.000 0.391
Te 0.750 0.500 0.109
Te 0.869 0.662 0.419
Te 0.869 0.838 0.081
N 0.158 0.250 0.250
N 0.250 0.000 0.275
N 0.250 0.500 0.225
N 0.342 0.750 0.250
N 0.658 0.250 0.750
N 0.750 0.000 0.725
N 0.750 0.500 0.775
N 0.842 0.750 0.750

Summary:
- calculated formation energy (eV per formula unit) = -16.63
- calculated volume (Å³/cell) = 944

# 14
Entry from Materials Project: a relaxed structure of Tc3N (r²SCAN).

a = 2.798 Å, b = 2.798 Å, c = 7.039 Å
α = 90.00°, β = 90.00°, γ = 120.00°
Sites, in units of the cell vectors:
Tc 0.000 0.000 0.000
Tc 0.667 0.333 0.303
Tc 0.667 0.333 0.697
N 0.000 0.000 0.500

Summary:
- calculated formation energy (eV per formula unit) = -0.89
- calculated volume (Å³/cell) = 48

# 15
Entry from Materials Project: a relaxed structure of U2TeN2 (r²SCAN).

a = 6.970 Å, b = 6.970 Å, c = 6.970 Å
α = 147.53°, β = 147.53°, γ = 46.59°
Sites, in units of the cell vectors:
U 0.160 0.160 0.000
U 0.840 0.840 0.000
Te 0.500 0.500 0.000
N 0.250 0.750 0.500
N 0.750 0.250 0.500

Summary:
- calculated formation energy (eV per formula unit) = -8.62
- calculated volume (Å³/cell) = 97

# 16
Entry from Materials Project: a relaxed structure of UTeN (r²SCAN).

a = 3.865 Å, b = 3.865 Å, c = 8.586 Å
α = 90.00°, β = 90.00°, γ = 90.00°
Sites, in units of the cell vectors:
U 0.250 0.250 0.136
U 0.750 0.750 0.864
Te 0.250 0.250 0.662
Te 0.750 0.750 0.338
N 0.250 0.750 0.000
N 0.750 0.250 0.000

Summary:
- calculated formation energy (eV per formula unit) = -4.46
- calculated volume (Å³/cell) = 128

# 17
Entry from Materials Project: a relaxed structure of Y3Te3N (r²SCAN).

a = 8.128 Å, b = 11.981 Å, c = 8.659 Å
α = 90.00°, β = 108.65°, γ = 90.00°
Sites, in units of the cell vectors:
Y 0.102 0.024 0.362
Y 0.102 0.476 0.862
Y 0.266 0.709 0.153
Y 0.266 0.791 0.653
Y 0.338 0.088 0.795
Y 0.338 0.412 0.295
Y 0.662 0.588 0.705
Y 0.662 0.912 0.205
Y 0.734 0.209 0.347
Y 0.734 0.291 0.847
Y 0.898 0.524 0.138
Y 0.898 0.976 0.638
Te 0.008 0.233 0.688
Te 0.008 0.267 0.188
Te 0.278 0.521 0.587
Te 0.278 0.979 0.087
Te 0.454 0.194 0.518
Te 0.454 0.306 0.018
Te 0.546 0.694 0.982
Te 0.546 0.806 0.482
Te 0.722 0.021 0.913
Te 0.722 0.479 0.413
Te 0.992 0.733 0.812
Te 0.992 0.767 0.312
N 0.173 0.535 0.123
N 0.173 0.965 0.623
N 0.827 0.035 0.377
N 0.827 0.465 0.877

Summary:
- calculated formation energy (eV per formula unit) = -12.49
- calculated volume (Å³/cell) = 799

For each record above, in turn, the calculated raw total energy values are -22.82, -38.14, -10.29, -10.30, -13.67, -32.17, -15.77, -16.95, -19.07, -13.31, -18.71, -31.63, -26.23, -21.98, -42.44, -39.65, -22.69 eV per atom.